No. 1
4
Lattice="1.408 -2.018 0.000 1.408 2.018 0.000 0.000 0.000 8.095" Properties=species:S:1:pos:R:3 comment="Cu3Ni | Materials Project | PBE | relaxed" formation_energy_ev_per_fu=0.20 spacegroup=Cmmm pbc="T T T"
Cu 1.408 0.000 6.112
Cu 0.000 0.000 4.047
Cu 1.408 0.000 1.982
Ni 0.000 0.000 0.000

---

No. 2
4
Lattice="-1.625 1.350 -1.197 -1.050 -2.038 0.799 -1.946 3.657 6.768" Properties=species:S:1:pos:R:3 comment="CuNi3 | Materials Project | PBE | relaxed" formation_energy_ev_per_fu=0.37 spacegroup=Cmmm pbc="T T T"
Cu 0.000 0.000 0.000
Ni -2.788 2.382 4.845
Ni -0.973 1.829 3.384
Ni -1.833 0.588 1.525

---

No. 3
2
Lattice="-2.228 -0.155 -1.002 0.235 -1.058 2.194 -1.070 3.557 1.830" Properties=species:S:1:pos:R:3 comment="CuNi | Materials Project | PBE | relaxed" formation_energy_ev_per_fu=0.13 spacegroup=Cmmm pbc="T T T"
Cu -1.531 1.172 1.511
Ni 0.000 0.000 0.000

---

No. 4
2
Lattice="-3.527 -1.946 1.626 -2.113 -3.745 0.616 -1.563 -2.847 2.885" Properties=species:S:1:pos:R:3 comment="CuNi | Materials Project | PBE | relaxed" formation_energy_ev_per_fu=0.04 spacegroup=R-3m pbc="T T T"
Cu 0.000 0.000 0.000
Ni -3.601 -4.269 2.563

---

Number 1: total energy -17.88 eV for the cell shown. Number 2: total energy -21.07 eV for the cell shown. Number 3: total energy -9.75 eV for the cell shown. Number 4: total energy -9.84 eV for the cell shown.